# 1
The following is a DFT calculation (r²SCAN) of crystalline V3Ni at its relaxed geometry.

The calculation puts the energy at -109.7 eV/cell.

Cell: 4.6397 4.6397 4.6397 Å, 90.00 90.00 90.00°
With the nearest neighbours (Å) after each atom.
Element x y z (fractional)
V  0.5000  0.2500  0.0000  2 V 2.32, 4 Ni 2.59
V  0.5000  0.7500  0.0000  2 V 2.32, 4 Ni 2.59
V  0.2500  0.0000  0.5000  2 V 2.32, 4 Ni 2.59
V  0.7500  0.0000  0.5000  2 V 2.32, 4 Ni 2.59
V  0.0000  0.5000  0.2500  2 V 2.32, 4 Ni 2.59
V  0.0000  0.5000  0.7500  2 V 2.32, 4 Ni 2.59
Ni  0.5000  0.5000  0.5000  12 V 2.59
Ni  0.0000  0.0000  0.0000  12 V 2.59

***

# 2
The following is a DFT calculation (r²SCAN) of crystalline CrMoF6 at its relaxed geometry.

The calculation puts the energy at -82.4 eV/cell.

Cell: 5.4602 5.4602 5.4602 Å, 54.85 54.85 54.85°
With the nearest neighbours (Å) after each atom.
Element x y z (fractional)
Cr  0.0000  0.0000  0.0000  6 F 1.91
Mo  0.5000  0.5000  0.5000  6 F 2.05
F  0.8979  0.6224  0.2391  1 Cr 1.91, 1 Mo 2.05
F  0.1021  0.3776  0.7609  1 Cr 1.91, 1 Mo 2.05
F  0.7609  0.1021  0.3776  1 Cr 1.91, 1 Mo 2.05
F  0.2391  0.8979  0.6224  1 Cr 1.91, 1 Mo 2.05
F  0.6224  0.2391  0.8979  1 Cr 1.91, 1 Mo 2.05
F  0.3776  0.7609  0.1021  1 Cr 1.91, 1 Mo 2.05

***

# 3
The following is a DFT calculation (r²SCAN) of crystalline PrAl2 at its relaxed geometry.

The calculation puts the energy at -89.0 eV/cell.

Cell: 5.7023 5.7023 5.7023 Å, 60.00 60.00 60.00°
With the nearest neighbours (Å) after each atom.
Element x y z (fractional)
Pr  0.1250  0.1250  0.1250  12 Al 3.34, 4 Pr 3.49
Pr  0.8750  0.8750  0.8750  12 Al 3.34, 4 Pr 3.49
Al  0.5000  0.0000  0.5000  6 Al 2.85
Al  0.0000  0.5000  0.5000  6 Al 2.85
Al  0.5000  0.5000  0.5000  6 Al 2.85
Al  0.5000  0.5000  0.0000  6 Al 2.85

***

# 4
The following is a DFT calculation (r²SCAN) of crystalline V4OF11 at its relaxed geometry.

The calculation puts the energy at -295.1 eV/cell.

Cell: 5.3262 5.3262 17.0461 Å, 78.07 78.07 57.09°
With the nearest neighbours (Å) after each atom.
Element x y z (fractional)
V  0.7574  0.6288  0.4353  1 O 1.84, 5 F 1.92-1.96
V  0.2501  0.1286  0.9373  6 F 1.91-1.97
V  0.3712  0.2426  0.5647  1 O 1.84, 5 F 1.92-1.96
V  0.8714  0.7499  0.0627  6 F 1.91-1.97
V  0.0249  0.8829  0.6827  1 O 1.69
V  0.4958  0.3702  0.1883  6 F 1.92-1.95
V  0.1171  0.9751  0.3173  1 O 1.69
V  0.6298  0.5042  0.8117  6 F 1.92-1.95
O  0.0257  0.7289  0.3742  2 V 1.69-1.84
O  0.2711  0.9743  0.6258  2 V 1.69-1.84
F  0.9723  0.2283  0.4047  2 V 1.92-1.96
F  0.5585  0.1945  0.8752  2 V 1.92-1.95
F  0.4543  0.5457  0.5000  2 V 1.96
F  0.7717  0.0277  0.5953  2 V 1.92-1.96
F  0.4767  0.7214  0.9039  2 V 1.92-1.97
F  0.2786  0.5233  0.0961  2 V 1.92-1.97
F  0.5246  0.7760  0.3457  2 V 1.93-1.95
F  0.5235  0.0266  0.4723  2 V 1.92-1.95
F  0.0211  0.5368  0.9701  2 V 1.91-1.97
F  0.2258  0.7191  0.7798  2 V 1.94-1.95
F  0.9424  0.0576  0.0000  2 V 1.94
F  0.2240  0.4754  0.6543  2 V 1.93-1.95
F  0.0329  0.2761  0.8448  2 V 1.92-1.95
F  0.7239  0.9671  0.1552  2 V 1.92-1.95
F  0.7218  0.2286  0.2795  2 V 1.93-1.95
F  0.7714  0.2782  0.7205  2 V 1.93-1.95
F  0.9734  0.4765  0.5277  2 V 1.92-1.95
F  0.4632  0.9789  0.0299  2 V 1.91-1.97
F  0.8055  0.4415  0.1248  2 V 1.92-1.95
F  0.2011  0.2830  0.2534  2 V 1.94-1.98
F  0.7170  0.7989  0.7466  2 V 1.94-1.98
F  0.2809  0.7742  0.2202  2 V 1.94-1.95